! MgMn2Sb4O12 (PBE+U, relaxed); values from VASP
! formation energy = -1909 meV per atom
! calculated volume = 13.17 Å³ per atom
! space-group type = P1 (1)
! ΔE to the lowest computed polymorph = 90 meV/atom
&SYSTEM
  ibrav = 0, nat = 19, ntyp = 4
/
ATOMIC_SPECIES
Mg 24.30 Mg.upf
Mn 54.94 Mn.upf
Sb 121.76 Sb.upf
O 16.00 O.upf
CELL_PARAMETERS angstrom
4.9077 0.0000 0.0000
0.1565 5.1137 0.0000
0.6034 0.8116 9.9744
ATOMIC_POSITIONS crystal
Mg 0.0000 0.0000 0.0000
Mn 0.4926 0.9528 0.2443
Mn 0.9757 0.3939 0.7351
Sb 0.0172 0.4685 0.1083
Sb 0.4646 0.9009 0.5587
Sb 0.5389 0.8840 0.8657
Sb 0.9763 0.4223 0.4208
O 0.1695 0.6022 0.5625
O 0.1924 0.6145 0.2639
O 0.2187 0.6951 0.9467
O 0.2784 0.1690 0.0916
O 0.2789 0.1231 0.4194
O 0.2819 0.0617 0.7259
O 0.6330 0.6711 0.7093
O 0.6853 0.7276 0.4170
O 0.7485 0.7654 0.1010
O 0.7700 0.1969 0.5674
O 0.8069 0.2706 0.2645
O 0.8495 0.3406 0.9440


! MgMn2Sb4O12 (PBE+U, relaxed); values from VASP
! formation energy = -1988 meV per atom
! calculated volume = 13.54 Å³ per atom
! space-group type = P1 (1)
! ΔE to the lowest computed polymorph = 11 meV/atom
&SYSTEM
  ibrav = 0, nat = 19, ntyp = 4
/
ATOMIC_SPECIES
Mg 24.30 Mg.upf
Mn 54.94 Mn.upf
Sb 121.76 Sb.upf
O 16.00 O.upf
CELL_PARAMETERS angstrom
6.1704 0.0000 0.0000
0.6176 6.1528 0.0000
1.9377 1.9207 6.7779
ATOMIC_POSITIONS crystal
Mg 0.0000 0.0000 0.0000
Mn 0.0574 0.4298 0.5013
Mn 0.5921 0.2590 0.8322
Sb 0.0151 0.4928 0.9984
Sb 0.3352 0.8433 0.6599
Sb 0.4270 0.7602 0.1638
Sb 0.6781 0.1637 0.3519
O 0.0013 0.8096 0.8130
O 0.0142 0.1782 0.1937
O 0.0664 0.6484 0.1875
O 0.2708 0.7031 0.4651
O 0.3359 0.1630 0.4689
O 0.3503 0.5258 0.8549
O 0.3536 0.9942 0.8700
O 0.6445 0.0315 0.1278
O 0.6619 0.8493 0.5301
O 0.6765 0.4738 0.1471
O 0.7480 0.2976 0.5379
O 0.9502 0.3326 0.8206


! MgMn2Sb4O12 (PBE+U, relaxed); values from VASP
! formation energy = -1999 meV per atom
! calculated volume = 13.16 Å³ per atom
! space-group type = P1 (1)
! ΔE to the lowest computed polymorph = 0 meV/atom
&SYSTEM
  ibrav = 0, nat = 19, ntyp = 4
/
ATOMIC_SPECIES
Mg 24.30 Mg.upf
Mn 54.94 Mn.upf
Sb 121.76 Sb.upf
O 16.00 O.upf
CELL_PARAMETERS angstrom
6.0084 0.0000 0.0000
1.1298 6.0379 0.0000
2.0486 2.0050 6.8910
ATOMIC_POSITIONS crystal
Mg 0.0000 0.0000 0.0000
Mn 0.4148 0.7794 0.1727
Mn 0.5813 0.2126 0.8346
Sb 0.3345 0.8298 0.6655
Sb 0.6665 0.1610 0.3400
Sb 0.9867 0.5091 0.5036
Sb 0.9978 0.4988 0.0035
O 0.0161 0.1727 0.1879
O 0.0678 0.6530 0.1801
O 0.2607 0.7164 0.4703
O 0.3274 0.1587 0.4824
O 0.3388 0.5009 0.8519
O 0.3621 0.9566 0.8774
O 0.6387 0.0345 0.1281
O 0.6583 0.4918 0.1576
O 0.6814 0.8216 0.5231
O 0.7377 0.2725 0.5374
O 0.9247 0.3486 0.8257
O 0.9839 0.8228 0.8156


! MgMnSbO4 (PBE+U, relaxed); values from VASP
! formation energy = -2079 meV per atom
! calculated volume = 12.75 Å³ per atom
! space-group type = Imm2 (44)
! ΔE to the lowest computed polymorph = 0 meV/atom
&SYSTEM
  ibrav = 0, nat = 7, ntyp = 4
/
ATOMIC_SPECIES
Mg 24.30 Mg.upf
Mn 54.94 Mn.upf
Sb 121.76 Sb.upf
O 16.00 O.upf
CELL_PARAMETERS angstrom
-2.0727 2.1824 4.9339
2.0727 -2.1824 4.9339
2.0727 2.1824 -4.9339
ATOMIC_POSITIONS crystal
Mg 0.0000 0.0000 0.0000
Mn 0.4555 0.4555 0.0000
Sb 0.7386 0.2386 0.5000
O 0.2282 0.2282 0.0000
O 0.5222 0.0222 0.5000
O 0.7749 0.7749 0.0000
O 0.9664 0.4664 0.5000


! MgMn5SbO12 (PBE+U, relaxed); values from VASP
! formation energy = -1955 meV per atom
! calculated volume = 12.45 Å³ per atom
! space-group type = P1 (1)
&SYSTEM
  ibrav = 0, nat = 19, ntyp = 4
/
ATOMIC_SPECIES
Mg 24.30 Mg.upf
Mn 54.94 Mn.upf
Sb 121.76 Sb.upf
O 16.00 O.upf
CELL_PARAMETERS angstrom
5.1809 0.0000 0.0000
2.3685 4.6200 0.0000
0.6023 1.3229 9.8831
ATOMIC_POSITIONS crystal
Mg 0.0000 0.0000 0.0000
Mn 0.2963 0.7699 0.7420
Mn 0.6328 0.0997 0.7532
Mn 0.6354 0.6265 0.2457
Mn 0.9634 0.4302 0.7533
Mn 0.9668 0.9523 0.2827
Sb 0.3039 0.2914 0.2445
O 0.0025 0.2638 0.1395
O 0.2828 0.0704 0.8505
O 0.3002 0.9425 0.3593
O 0.3038 0.4470 0.6629
O 0.3101 0.6460 0.1335
O 0.6088 0.3007 0.3520
O 0.6423 0.7830 0.6627
O 0.6662 0.9779 0.1526
O 0.6865 0.3449 0.8662
O 0.9208 0.1702 0.6504
O 0.9653 0.7548 0.8515
O 0.9769 0.5723 0.3486


! MgMnSbO4 (PBE+U, relaxed); values from VASP
! formation energy = -1972 meV per atom
! calculated volume = 12.91 Å³ per atom
! space-group type = P2/m (10)
! ΔE to the lowest computed polymorph = 107 meV/atom
&SYSTEM
  ibrav = 0, nat = 7, ntyp = 4
/
ATOMIC_SPECIES
Mg 24.30 Mg.upf
Mn 54.94 Mn.upf
Sb 121.76 Sb.upf
O 16.00 O.upf
CELL_PARAMETERS angstrom
5.3335 0.0000 0.0000
0.0000 3.0985 0.0000
-1.8327 0.0000 5.4678
ATOMIC_POSITIONS crystal
Mg 0.0000 0.0000 0.0000
Mn 0.5000 0.5000 0.0000
Sb 0.5000 0.0000 0.5000
O 0.2363 0.5000 0.2225
O 0.2948 0.0000 0.8076
O 0.7052 0.0000 0.1924
O 0.7637 0.5000 0.7775


! MgMn2Sb4O12 (PBE+U, relaxed); values from VASP
! formation energy = -1916 meV per atom
! calculated volume = 13.00 Å³ per atom
! space-group type = P2 (3)
! ΔE to the lowest computed polymorph = 83 meV/atom
&SYSTEM
  ibrav = 0, nat = 19, ntyp = 4
/
ATOMIC_SPECIES
Mg 24.30 Mg.upf
Mn 54.94 Mn.upf
Sb 121.76 Sb.upf
O 16.00 O.upf
CELL_PARAMETERS angstrom
4.9059 0.0000 0.0000
0.0000 10.2453 0.0000
-0.2038 0.0000 4.9129
ATOMIC_POSITIONS crystal
Mg 0.0000 0.0000 0.0000
Mn 0.0000 0.5587 0.5000
Mn 0.5000 0.1233 0.0000
Sb 0.0000 0.2538 0.5000
Sb 0.0000 0.8611 0.5000
Sb 0.5000 0.4155 0.0000
Sb 0.5000 0.7265 0.0000
O 0.1712 0.1091 0.7243
O 0.1971 0.4016 0.7045
O 0.2212 0.7196 0.6828
O 0.2820 0.8744 0.1589
O 0.3044 0.2704 0.2139
O 0.3132 0.5696 0.1752
O 0.6868 0.5696 0.8248
O 0.6956 0.2704 0.7861
O 0.7180 0.8744 0.8411
O 0.7788 0.7196 0.3172
O 0.8029 0.4016 0.2955
O 0.8288 0.1091 0.2757


! MgMnSbO4 (PBE+U, relaxed); values from VASP
! formation energy = -1936 meV per atom
! calculated volume = 13.24 Å³ per atom
! space-group type = Imm2 (44)
! ΔE to the lowest computed polymorph = 143 meV/atom
&SYSTEM
  ibrav = 0, nat = 7, ntyp = 4
/
ATOMIC_SPECIES
Mg 24.30 Mg.upf
Mn 54.94 Mn.upf
Sb 121.76 Sb.upf
O 16.00 O.upf
CELL_PARAMETERS angstrom
-2.1112 2.2466 4.8845
2.1112 -2.2466 4.8845
2.1112 2.2466 -4.8845
ATOMIC_POSITIONS crystal
Mg 0.0000 0.0000 0.0000
Mn 0.3090 0.8090 0.5000
Sb 0.5775 0.5775 0.0000
O 0.0812 0.5812 0.5000
O 0.3700 0.3700 0.0000
O 0.5483 0.0483 0.5000
O 0.7967 0.7967 0.0000


! MgMnSb4O12 (PBE+U, relaxed); values from VASP
! formation energy = -1970 meV per atom
! calculated volume = 12.43 Å³ per atom
! space-group type = P1 (1)
! ΔE to the lowest computed polymorph = 7 meV/atom
&SYSTEM
  ibrav = 0, nat = 18, ntyp = 4
/
ATOMIC_SPECIES
Mg 24.30 Mg.upf
Mn 54.94 Mn.upf
Sb 121.76 Sb.upf
O 16.00 O.upf
CELL_PARAMETERS angstrom
5.2985 0.0000 0.0000
0.0051 5.5442 0.0000
0.0022 0.3554 7.6190
ATOMIC_POSITIONS crystal
Mg 0.0000 0.0000 0.0000
Mn 0.9956 0.9759 0.4880
Sb 0.0068 0.4143 0.7132
Sb 0.4967 0.9021 0.2145
Sb 0.5034 0.8960 0.7191
Sb 0.9959 0.4244 0.2120
O 0.1128 0.3771 0.4604
O 0.1805 0.7263 0.1452
O 0.1856 0.0836 0.7668
O 0.2781 0.1883 0.1434
O 0.3097 0.5974 0.7764
O 0.3788 0.8986 0.4649
O 0.6350 0.8949 0.9657
O 0.6944 0.6068 0.2786
O 0.7204 0.1836 0.6456
O 0.8142 0.0929 0.2527
O 0.8146 0.7125 0.6518
O 0.8906 0.3698 0.9622